Record 1
# PuTcB4 GGA-PBE optimized geometry
data_PuTcB4
_space_group_name_H-M_alt 'P b a m'
_space_group_IT_number 55
_cell_length_a 5.978
_cell_length_b 11.557
_cell_length_c 3.572
_cell_angle_alpha 90.00
_cell_angle_beta 90.00
_cell_angle_gamma 90.00
loop_
_space_group_symop_operation_xyz
'x,y,z'
'-x,-y,-z'
'-x,-y,z'
'x,y,-z'
'x+1/2,-y+1/2,-z'
'-x+1/2,y+1/2,z'
'-x+1/2,y+1/2,-z'
'x+1/2,-y+1/2,z'
loop_
_atom_site_label
_atom_site_fract_x
_atom_site_fract_y
_atom_site_fract_z
_atom_site_occupancy
Pu1 0.127 0.150 0.000 1
Tc1 0.135 0.409 0.000 1
B1 0.026 0.692 0.500 1
B2 0.114 0.547 0.500 1
B3 0.135 0.968 0.500 1
B4 0.213 0.813 0.500 1
# Energy of formation from the pure elements, meV/atom: -550

***

Record 2
# Pu2TcB6 GGA-PBE optimized geometry
data_Pu2TcB6
_space_group_name_H-M_alt 'P b a m'
_space_group_IT_number 55
_cell_length_a 9.256
_cell_length_b 11.339
_cell_length_c 3.616
_cell_angle_alpha 90.00
_cell_angle_beta 90.00
_cell_angle_gamma 90.00
loop_
_space_group_symop_operation_xyz
'x,y,z'
'-x,-y,-z'
'-x,-y,z'
'x,y,-z'
'x+1/2,-y+1/2,-z'
'-x+1/2,y+1/2,z'
'-x+1/2,y+1/2,-z'
'x+1/2,-y+1/2,z'
loop_
_atom_site_label
_atom_site_fract_x
_atom_site_fract_y
_atom_site_fract_z
_atom_site_occupancy
Pu1 0.046 0.110 0.000 1
Pu2 0.164 0.408 0.000 1
Tc1 0.144 0.679 0.000 1
B1 0.014 0.283 0.500 1
B2 0.051 0.567 0.500 1
B3 0.142 0.960 0.500 1
B4 0.144 0.812 0.500 1
B5 0.197 0.229 0.500 1
B6 0.244 0.576 0.500 1
# Energy of formation from the pure elements, meV/atom: -533

***

Record 3
# PuB4W GGA-PBE optimized geometry
data_PuB4W
_space_group_name_H-M_alt 'P b a m'
_space_group_IT_number 55
_cell_length_a 6.024
_cell_length_b 11.710
_cell_length_c 3.626
_cell_angle_alpha 90.00
_cell_angle_beta 90.00
_cell_angle_gamma 90.00
loop_
_space_group_symop_operation_xyz
'x,y,z'
'-x,-y,-z'
'-x,-y,z'
'x,y,-z'
'x+1/2,-y+1/2,-z'
'-x+1/2,y+1/2,z'
'-x+1/2,y+1/2,-z'
'x+1/2,-y+1/2,z'
loop_
_atom_site_label
_atom_site_fract_x
_atom_site_fract_y
_atom_site_fract_z
_atom_site_occupancy
Pu1 0.125 0.150 0.000 1
B1 0.027 0.693 0.500 1
B2 0.116 0.547 0.500 1
B3 0.134 0.968 0.500 1
B4 0.214 0.813 0.500 1
W1 0.132 0.414 0.000 1
# Energy of formation from the pure elements, meV/atom: -498

***

Record 4
# Rb4B9S9 GGA-PBE optimized geometry
data_Rb4B9S9
_space_group_name_H-M_alt 'P -1'
_space_group_IT_number 2
_cell_length_a 10.182
_cell_length_b 10.341
_cell_length_c 10.807
_cell_angle_alpha 92.16
_cell_angle_beta 104.39
_cell_angle_gamma 109.64
loop_
_space_group_symop_operation_xyz
'x,y,z'
'-x,-y,-z'
loop_
_atom_site_label
_atom_site_fract_x
_atom_site_fract_y
_atom_site_fract_z
_atom_site_occupancy
Rb1 0.114 0.374 0.129 1
Rb2 0.147 0.007 0.375 1
Rb3 0.252 0.623 0.471 1
Rb4 0.318 0.380 0.752 1
B1 0.137 0.820 0.688 1
B2 0.170 0.764 0.144 1
B3 0.333 0.966 0.019 1
B4 0.368 0.857 0.912 1
B5 0.374 0.024 0.874 1
B6 0.426 0.259 0.254 1
B7 0.438 0.865 0.082 1
B8 0.451 0.140 0.023 1
B9 0.491 0.041 0.149 1
S1 0.014 0.258 0.449 1
S2 0.027 0.660 0.203 1
S3 0.154 0.910 0.055 1
S4 0.215 0.715 0.798 1
S5 0.223 0.012 0.728 1
S6 0.341 0.727 0.168 1
S7 0.403 0.372 0.366 1
S8 0.408 0.289 0.082 1
S9 0.475 0.108 0.304 1
# Energy of formation from the pure elements, meV/atom: -971
# Corrected total energy (MP2020 scheme), eV per atom: -5.574

***

Record 5
# Rb3BS3 GGA-PBE optimized geometry
data_Rb3BS3
_space_group_name_H-M_alt 'P 1 21/c 1'
_space_group_IT_number 14
_cell_length_a 10.532
_cell_length_b 6.470
_cell_length_c 13.241
_cell_angle_alpha 90.00
_cell_angle_beta 104.53
_cell_angle_gamma 90.00
loop_
_space_group_symop_operation_xyz
'x,y,z'
'-x,-y,-z'
'-x,y+1/2,-z+1/2'
'x,-y+1/2,z+1/2'
loop_
_atom_site_label
_atom_site_fract_x
_atom_site_fract_y
_atom_site_fract_z
_atom_site_occupancy
Rb1 0.028 0.214 0.359 1
Rb2 0.252 0.643 0.492 1
Rb3 0.405 0.062 0.304 1
B1 0.234 0.117 0.628 1
S1 0.091 0.215 0.122 1
S2 0.286 0.576 0.233 1
S3 0.330 0.147 0.530 1
# Energy of formation from the pure elements, meV/atom: -1243
# Corrected total energy (MP2020 scheme), eV per atom: -4.390

***

Record 6
# Rb4B9Se9 GGA-PBE optimized geometry
data_Rb4B9Se9
_space_group_name_H-M_alt 'P -1'
_space_group_IT_number 2
_cell_length_a 10.606
_cell_length_b 10.768
_cell_length_c 11.143
_cell_angle_alpha 91.85
_cell_angle_beta 104.15
_cell_angle_gamma 109.59
loop_
_space_group_symop_operation_xyz
'x,y,z'
'-x,-y,-z'
loop_
_atom_site_label
_atom_site_fract_x
_atom_site_fract_y
_atom_site_fract_z
_atom_site_occupancy
Rb1 0.111 0.372 0.131 1
Rb2 0.141 0.003 0.369 1
Rb3 0.252 0.629 0.474 1
Rb4 0.329 0.384 0.745 1
B1 0.137 0.821 0.687 1
B2 0.168 0.761 0.143 1
B3 0.339 0.967 0.018 1
B4 0.374 0.863 0.915 1
B5 0.380 0.024 0.879 1
B6 0.423 0.256 0.257 1
B7 0.441 0.870 0.079 1
B8 0.453 0.134 0.022 1
B9 0.490 0.038 0.144 1
Se1 0.019 0.651 0.204 1
Se2 0.021 0.259 0.454 1
Se3 0.152 0.913 0.052 1
Se4 0.218 0.711 0.800 1
Se5 0.226 0.018 0.728 1
Se6 0.344 0.724 0.170 1
Se7 0.398 0.372 0.375 1
Se8 0.405 0.289 0.078 1
Se9 0.474 0.100 0.310 1
# Energy of formation from the pure elements, meV/atom: -775
# Corrected total energy (MP2020 scheme), eV per atom: -5.116

***

> What is the formula in the first record?

PuTcB4

***

> Which of these has the highest energy of formation from the pure elements?

PuB4W

***

> Number 2 is which compound?

Pu2TcB6